{"formula": "YMg14CO16", "functional": "PBE-GGA", "state": "optimized geometry", "lattice_angstrom": [[4.289, 0.000, 0.000], [0.000, 8.606, 0.000], [0.000, 0.000, 8.842]], "species": ["Y", "Mg", "Mg", "Mg", "Mg", "Mg", "Mg", "Mg", "Mg", "Mg", "Mg", "Mg", "Mg", "Mg", "Mg", "C", "O", "O", "O", "O", "O", "O", "O", "O", "O", "O", "O", "O", "O", "O", "O", "O"], "fractional_positions": [[0.000, 0.000, 0.000], [0.000, 0.000, 0.500], [0.000, 0.265, 0.255], [0.000, 0.265, 0.745], [0.000, 0.500, 0.500], [0.000, 0.735, 0.255], [0.000, 0.735, 0.745], [0.500, 0.000, 0.264], [0.500, 0.000, 0.736], [0.500, 0.255, 0.500], [0.500, 0.269, 0.000], [0.500, 0.500, 0.250], [0.500, 0.500, 0.750], [0.500, 0.731, 0.000], [0.500, 0.745, 0.500], [0.000, 0.500, 0.000], [0.000, 0.000, 0.258], [0.000, 0.000, 0.742], [0.000, 0.245, 0.500], [0.000, 0.257, 0.000], [0.000, 0.500, 0.280], [0.000, 0.500, 0.720], [0.000, 0.743, 0.000], [0.000, 0.755, 0.500], [0.500, 0.000, 0.000], [0.500, 0.000, 0.500], [0.500, 0.249, 0.247], [0.500, 0.249, 0.753], [0.500, 0.500, 0.000], [0.500, 0.500, 0.500], [0.500, 0.751, 0.247], [0.500, 0.751, 0.753]], "space_group": "Pmmm", "e_form_kj_per_mol_atoms": -262, "polymorph_energy_mev_per_atom": 0, "magnetic_moment_mub_per_cell": 1.00}

=====

{"formula": "Ca2ZnHg", "functional": "PBE-GGA", "state": "optimized geometry", "lattice_angstrom": [[7.492, 0.000, 0.000], [0.000, 7.492, 0.000], [0.000, 0.000, 7.492]], "species": ["Ca", "Ca", "Ca", "Ca", "Ca", "Ca", "Ca", "Ca", "Zn", "Zn", "Zn", "Zn", "Hg", "Hg", "Hg", "Hg"], "fractional_positions": [[0.250, 0.250, 0.250], [0.250, 0.250, 0.750], [0.250, 0.750, 0.250], [0.250, 0.750, 0.750], [0.750, 0.250, 0.250], [0.750, 0.250, 0.750], [0.750, 0.750, 0.250], [0.750, 0.750, 0.750], [0.000, 0.000, 0.000], [0.000, 0.500, 0.500], [0.500, 0.000, 0.500], [0.500, 0.500, 0.000], [0.000, 0.000, 0.500], [0.000, 0.500, 0.000], [0.500, 0.000, 0.000], [0.500, 0.500, 0.500]], "space_group": "Fm-3m", "e_form_kj_per_mol_atoms": -38}

=====

{"formula": "Hf3Mg", "functional": "PBE-GGA", "state": "optimized geometry", "lattice_angstrom": [[4.417, 0.000, 0.000], [0.000, 4.417, 0.000], [0.000, 0.000, 8.963]], "species": ["Hf", "Hf", "Hf", "Hf", "Hf", "Hf", "Mg", "Mg"], "fractional_positions": [[0.000, 0.000, 0.000], [0.000, 0.500, 0.250], [0.000, 0.500, 0.750], [0.500, 0.000, 0.250], [0.500, 0.000, 0.750], [0.500, 0.500, 0.500], [0.000, 0.000, 0.500], [0.500, 0.500, 0.000]], "space_group": "I4/mmm", "e_form_kj_per_mol_atoms": 8, "polymorph_energy_mev_per_atom": 0, "magnetic_moment_mub_per_cell": 0.00}

=====

{"formula": "MgAg4Ru4O12", "functional": "PBE-GGA", "state": "optimized geometry", "lattice_angstrom": [[-3.616, 3.621, 5.117], [3.616, -3.621, 5.117], [3.616, 3.621, -5.117]], "species": ["Mg", "Ag", "Ag", "Ag", "Ag", "Ru", "Ru", "Ru", "Ru", "O", "O", "O", "O", "O", "O", "O", "O", "O", "O", "O", "O"], "fractional_positions": [[0.000, 0.000, 0.000], [0.155, 0.456, 0.301], [0.155, 0.853, 0.699], [0.156, 0.852, 0.303], [0.549, 0.852, 0.697], [0.130, 0.379, 0.751], [0.629, 0.379, 0.249], [0.629, 0.379, 0.750], [0.629, 0.879, 0.250], [0.306, 0.306, 0.000], [0.306, 0.306, 0.603], [0.306, 0.703, 0.000], [0.558, 0.058, 0.108], [0.558, 0.058, 0.500], [0.558, 0.451, 0.500], [0.702, 0.306, 0.000], [0.702, 0.703, 0.397], [0.703, 0.703, 0.000], [0.950, 0.058, 0.500], [0.950, 0.451, 0.892], [0.951, 0.451, 0.500]], "space_group": "Imm2", "e_form_kj_per_mol_atoms": -96, "polymorph_energy_mev_per_atom": 103, "magnetic_moment_mub_per_cell": 0.00}

=====

{"formula": "Ce5Zr3O16", "functional": "PBE-GGA", "state": "optimized geometry", "lattice_angstrom": [[5.351, -5.403, 0.000], [5.351, 5.403, 0.000], [0.000, 0.000, 5.406]], "species": ["Ce", "Ce", "Ce", "Ce", "Ce", "Zr", "Zr", "Zr", "O", "O", "O", "O", "O", "O", "O", "O", "O", "O", "O", "O", "O", "O", "O", "O"], "fractional_positions": [[0.000, 0.000, 0.000], [0.000, 0.500, 0.991], [0.257, 0.257, 0.500], [0.500, 0.000, 0.009], [0.743, 0.743, 0.500], [0.244, 0.756, 0.500], [0.500, 0.500, 0.000], [0.756, 0.244, 0.500], [0.016, 0.245, 0.762], [0.023, 0.741, 0.271], [0.245, 0.016, 0.238], [0.248, 0.526, 0.709], [0.259, 0.977, 0.729], [0.265, 0.478, 0.203], [0.474, 0.752, 0.291], [0.478, 0.265, 0.797], [0.522, 0.735, 0.797], [0.526, 0.248, 0.291], [0.735, 0.522, 0.203], [0.741, 0.023, 0.729], [0.752, 0.474, 0.709], [0.755, 0.984, 0.238], [0.977, 0.259, 0.271], [0.984, 0.755, 0.762]], "space_group": "C222", "e_form_kj_per_mol_atoms": -371, "e_ij_max_c_m2": 1.25, "magnetic_moment_mub_per_cell": 0.00}

=====

{"formula": "Ce3Y4O12", "functional": "PBE-GGA", "state": "optimized geometry", "lattice_angstrom": [[13.814, -1.880, 0.000], [13.814, 1.880, 0.000], [-1.077, 0.000, 5.393]], "species": ["Ce", "Ce", "Ce", "Y", "Y", "Y", "Y", "O", "O", "O", "O", "O", "O", "O", "O", "O", "O", "O", "O"], "fractional_positions": [[0.000, 0.000, 0.000], [0.145, 0.145, 0.154], [0.568, 0.568, 0.577], [0.283, 0.283, 0.237], [0.421, 0.421, 0.483], [0.707, 0.707, 0.725], [0.852, 0.852, 0.860], [0.065, 0.065, 0.319], [0.068, 0.068, 0.821], [0.208, 0.208, 0.964], [0.223, 0.223, 0.472], [0.339, 0.339, 0.597], [0.370, 0.370, 0.119], [0.485, 0.485, 0.241], [0.499, 0.499, 0.760], [0.637, 0.637, 0.899], [0.640, 0.640, 0.402], [0.784, 0.784, 0.023], [0.923, 0.923, 0.698]], "space_group": "Cm", "e_form_kj_per_mol_atoms": -375, "magnetic_moment_mub_per_cell": 0.00}

=====

{"formula": "MgTiZnBi2O6", "functional": "PBE-GGA", "state": "optimized geometry", "lattice_angstrom": [[5.421, 0.000, 0.000], [0.000, 5.421, 0.000], [0.000, 0.000, 6.939]], "species": ["Mg", "Ti", "Zn", "Bi", "Bi", "O", "O", "O", "O", "O", "O"], "fractional_positions": [[0.000, 0.000, 0.000], [0.000, 0.000, 0.497], [0.500, 0.500, 0.628], [0.000, 0.500, 0.241], [0.500, 0.000, 0.241], [0.000, 0.000, 0.740], [0.252, 0.252, 0.423], [0.252, 0.748, 0.423], [0.500, 0.500, 0.898], [0.748, 0.252, 0.423], [0.748, 0.748, 0.423]], "space_group": "P4mm", "e_form_kj_per_mol_atoms": -164, "polymorph_energy_mev_per_atom": 453, "magnetic_moment_mub_per_cell": 0.00}

=====

{"formula": "Ti6Ge5", "functional": "PBE-GGA", "state": "optimized geometry", "lattice_angstrom": [[-2.707, 4.209, 8.001], [2.707, -4.209, 8.001], [2.707, 4.209, -8.001]], "species": ["Ti", "Ti", "Ti", "Ti", "Ti", "Ti", "Ti", "Ti", "Ti", "Ti", "Ti", "Ti", "Ge", "Ge", "Ge", "Ge", "Ge", "Ge", "Ge", "Ge", "Ge", "Ge"], "fractional_positions": [[0.000, 0.000, 0.500], [0.000, 0.500, 0.000], [0.129, 0.411, 0.717], [0.154, 0.154, 0.000], [0.306, 0.589, 0.717], [0.500, 0.000, 0.000], [0.500, 0.254, 0.754], [0.500, 0.500, 0.500], [0.500, 0.746, 0.246], [0.694, 0.411, 0.283], [0.846, 0.846, 0.000], [0.871, 0.589, 0.283], [0.000, 0.234, 0.234], [0.000, 0.766, 0.766], [0.200, 0.894, 0.306], [0.205, 0.705, 0.500], [0.332, 0.332, 0.000], [0.412, 0.106, 0.306], [0.588, 0.894, 0.694], [0.668, 0.668, 0.000], [0.795, 0.295, 0.500], [0.800, 0.106, 0.694]], "space_group": "Immm", "e_form_kj_per_mol_atoms": -51, "polymorph_energy_mev_per_atom": 139, "magnetic_moment_mub_per_cell": 1.00}

=====

{"formula": "Bi2Te7Cl8", "functional": "PBE-GGA", "state": "optimized geometry", "lattice_angstrom": [[5.599, 0.000, 0.000], [-1.525, 13.467, 0.000], [-1.416, -3.892, 14.956]], "species": ["Bi", "Bi", "Bi", "Bi", "Te", "Te", "Te", "Te", "Te", "Te", "Te", "Te", "Te", "Te", "Te", "Te", "Te", "Te", "Cl", "Cl", "Cl", "Cl", "Cl", "Cl", "Cl", "Cl", "Cl", "Cl", "Cl", "Cl", "Cl", "Cl", "Cl", "Cl"], "fractional_positions": [[0.000, 0.000, 0.000], [0.109, 0.336, 0.111], [0.292, 0.150, 0.332], [0.416, 0.485, 0.451], [0.018, 0.723, 0.282], [0.039, 0.788, 0.573], [0.150, 0.094, 0.678], [0.259, 0.392, 0.772], [0.374, 0.700, 0.877], [0.397, 0.761, 0.158], [0.429, 0.901, 0.687], [0.557, 0.232, 0.794], [0.643, 0.596, 0.162], [0.665, 0.549, 0.889], [0.734, 0.931, 0.553], [0.762, 0.885, 0.284], [0.858, 0.251, 0.657], [0.978, 0.576, 0.756], [0.005, 0.896, 0.837], [0.048, 0.483, 0.258], [0.117, 0.192, 0.948], [0.200, 0.987, 0.411], [0.223, 0.496, 0.035], [0.298, 0.295, 0.498], [0.365, 0.005, 0.186], [0.409, 0.586, 0.611], [0.480, 0.321, 0.284], [0.551, 0.017, 0.952], [0.558, 0.663, 0.413], [0.684, 0.343, 0.052], [0.740, 0.137, 0.395], [0.857, 0.463, 0.492], [0.857, 0.821, 0.029], [0.935, 0.167, 0.166]], "space_group": "P1", "e_form_kj_per_mol_atoms": -79, "polymorph_energy_mev_per_atom": 7, "magnetic_moment_mub_per_cell": 0.01}

=====

{"formula": "Cs2NaEuCl6", "functional": "PBE-GGA", "state": "optimized geometry", "lattice_angstrom": [[0.000, 5.516, 5.516], [5.516, 0.000, 5.516], [5.516, 5.516, 0.000]], "species": ["Cs", "Cs", "Na", "Eu", "Cl", "Cl", "Cl", "Cl", "Cl", "Cl"], "fractional_positions": [[0.250, 0.250, 0.250], [0.750, 0.750, 0.750], [0.000, 0.000, 0.000], [0.500, 0.500, 0.500], [0.253, 0.253, 0.747], [0.253, 0.747, 0.253], [0.253, 0.747, 0.747], [0.747, 0.253, 0.253], [0.747, 0.253, 0.747], [0.747, 0.747, 0.253]], "space_group": "Fm-3m", "e_form_kj_per_mol_atoms": -223, "magnetic_moment_mub_per_cell": 6.04}

=====

{"formula": "K2PH4Se3O2", "functional": "PBE-GGA", "state": "optimized geometry", "lattice_angstrom": [[6.012, -6.443, 0.000], [6.012, 6.443, 0.000], [0.000, 0.000, 11.946]], "species": ["K", "K", "K", "K", "K", "K", "K", "K", "P", "P", "P", "P", "H", "H", "H", "H", "H", "H", "H", "H", "H", "H", "H", "H", "H", "H", "H", "H", "Se", "Se", "Se", "Se", "Se", "Se", "Se", "Se", "Se", "Se", "Se", "Se", "O", "O", "O", "O", "O", "O", "O", "O"], "fractional_positions": [[0.037, 0.963, 0.854], [0.097, 0.403, 0.750], [0.403, 0.097, 0.250], [0.463, 0.537, 0.354], [0.537, 0.463, 0.646], [0.597, 0.903, 0.750], [0.903, 0.597, 0.250], [0.963, 0.037, 0.146], [0.084, 0.916, 0.532], [0.416, 0.584, 0.032], [0.584, 0.416, 0.968], [0.916, 0.084, 0.468], [0.074, 0.705, 0.029], [0.100, 0.307, 0.997], [0.193, 0.400, 0.503], [0.205, 0.574, 0.529], [0.295, 0.926, 0.029], [0.307, 0.100, 0.003], [0.400, 0.193, 0.497], [0.426, 0.795, 0.529], [0.574, 0.205, 0.471], [0.600, 0.807, 0.503], [0.693, 0.900, 0.997], [0.705, 0.074, 0.971], [0.795, 0.426, 0.471], [0.807, 0.600, 0.497], [0.900, 0.693, 0.003], [0.926, 0.295, 0.971], [0.053, 0.253, 0.367], [0.185, 0.815, 0.383], [0.247, 0.447, 0.133], [0.253, 0.053, 0.633], [0.315, 0.685, 0.883], [0.447, 0.247, 0.867], [0.553, 0.753, 0.133], [0.685, 0.315, 0.117], [0.747, 0.947, 0.367], [0.753, 0.553, 0.867], [0.815, 0.185, 0.617], [0.947, 0.747, 0.633], [0.021, 0.249, 0.952], [0.249, 0.021, 0.048], [0.251, 0.479, 0.548], [0.479, 0.251, 0.452], [0.521, 0.749, 0.548], [0.749, 0.521, 0.452], [0.751, 0.979, 0.952], [0.979, 0.751, 0.048]], "space_group": "Cmce", "e_form_kj_per_mol_atoms": -100, "magnetic_moment_mub_per_cell": 0.00}

=====

{"formula": "KMgNbO3", "functional": "PBE-GGA", "state": "optimized geometry", "lattice_angstrom": [[4.251, 0.000, 0.000], [0.000, 4.515, 0.000], [0.000, 0.000, 4.352]], "species": ["K", "Mg", "Nb", "O", "O", "O"], "fractional_positions": [[0.000, 0.000, 0.000], [0.000, 0.500, 0.298], [0.500, 0.500, 0.736], [0.000, 0.500, 0.760], [0.500, 0.000, 0.709], [0.500, 0.500, 0.231]], "space_group": "Pmm2", "e_form_kj_per_mol_atoms": -176, "polymorph_energy_mev_per_atom": 480, "magnetic_moment_mub_per_cell": 0.00}

=====

{"formula": "LiBi2P5O18", "functional": "PBE-GGA", "state": "optimized geometry", "lattice_angstrom": [[6.834, 0.000, 0.000], [-0.428, 9.781, 0.000], [-0.538, -1.144, 11.026]], "species": ["Li", "Li", "Bi", "Bi", "Bi", "Bi", "P", "P", "P", "P", "P", "P", "P", "P", "P", "P", "O", "O", "O", "O", "O", "O", "O", "O", "O", "O", "O", "O", "O", "O", "O", "O", "O", "O", "O", "O", "O", "O", "O", "O", "O", "O", "O", "O", "O", "O", "O", "O", "O", "O", "O", "O"], "fractional_positions": [[0.132, 0.215, 0.197], [0.868, 0.785, 0.803], [0.236, 0.357, 0.899], [0.332, 0.767, 0.448], [0.668, 0.233, 0.552], [0.764, 0.643, 0.101], [0.158, 0.573, 0.674], [0.169, 0.272, 0.596], [0.222, 0.007, 0.907], [0.272, 0.583, 0.153], [0.483, 0.046, 0.292], [0.517, 0.954, 0.708], [0.728, 0.417, 0.847], [0.778, 0.993, 0.093], [0.831, 0.728, 0.404], [0.842, 0.427, 0.326], [0.010, 0.820, 0.452], [0.016, 0.341, 0.316], [0.041, 0.956, 0.830], [0.080, 0.421, 0.610], [0.093, 0.672, 0.137], [0.215, 0.431, 0.098], [0.221, 0.157, 0.973], [0.255, 0.242, 0.721], [0.260, 0.548, 0.798], [0.271, 0.915, 0.005], [0.317, 0.619, 0.590], [0.331, 0.931, 0.319], [0.334, 0.584, 0.289], [0.339, 0.261, 0.510], [0.359, 0.930, 0.602], [0.384, 0.168, 0.256], [0.404, 0.021, 0.822], [0.439, 0.639, 0.078], [0.561, 0.361, 0.922], [0.596, 0.979, 0.178], [0.616, 0.832, 0.744], [0.641, 0.070, 0.398], [0.661, 0.739, 0.490], [0.666, 0.416, 0.711], [0.669, 0.069, 0.681], [0.683, 0.381, 0.410], [0.729, 0.085, 0.995], [0.740, 0.452, 0.202], [0.745, 0.758, 0.279], [0.779, 0.843, 0.027], [0.785, 0.569, 0.902], [0.907, 0.328, 0.863], [0.920, 0.579, 0.390], [0.959, 0.044, 0.170], [0.984, 0.659, 0.684], [0.990, 0.180, 0.548]], "space_group": "P-1", "e_form_kj_per_mol_atoms": -213, "magnetic_moment_mub_per_cell": 0.00}

=====

{"formula": "Nd2Co12P7", "functional": "PBE-GGA", "state": "optimized geometry", "lattice_angstrom": [[9.082, 0.000, 0.000], [-4.541, 7.865, 0.000], [0.000, 0.000, 3.632]], "species": ["Nd", "Nd", "Co", "Co", "Co", "Co", "Co", "Co", "Co", "Co", "Co", "Co", "Co", "Co", "P", "P", "P", "P", "P", "P", "P"], "fractional_positions": [[0.000, 0.000, 0.000], [0.333, 0.667, 0.500], [0.047, 0.765, 0.500], [0.099, 0.392, 0.000], [0.235, 0.282, 0.500], [0.293, 0.901, 0.000], [0.396, 0.213, 0.000], [0.539, 0.103, 0.500], [0.564, 0.461, 0.500], [0.608, 0.707, 0.000], [0.718, 0.953, 0.500], [0.787, 0.183, 0.000], [0.817, 0.604, 0.000], [0.897, 0.436, 0.500], [0.068, 0.628, 0.000], [0.269, 0.041, 0.500], [0.372, 0.440, 0.000], [0.560, 0.932, 0.000], [0.667, 0.333, 0.000], [0.772, 0.731, 0.500], [0.959, 0.228, 0.500]], "space_group": "P-6", "e_form_kj_per_mol_atoms": -72}